Computed, not measured: Li3V2P3O12 after structural relaxation at the PBE with a Hubbard U level of DFT.

Cell and atoms, written as extended XYZ:
```
80
Lattice="8.035 -4.426 0.000 8.035 4.426 0.000 -7.994 0.000 14.524" Properties=species:S:1:pos:R:3 pbc="T T T"
Li 4.017 2.213 0.000
Li 3.380 3.152 5.090
Li 2.039 3.262 10.893
Li 1.795 0.708 6.460
Li 8.692 3.152 2.172
Li -2.202 -0.708 13.722
Li 0.020 -2.213 7.262
Li 10.277 0.708 0.802
Li -0.617 -3.152 12.352
Li 6.280 -0.708 8.064
Li 6.036 -3.262 3.631
Li 4.695 -3.152 9.434
V -0.348 2.211 14.049
V 4.426 2.211 7.737
V -0.090 0.179 9.630
V 3.907 -0.179 2.368
V 4.168 0.179 12.156
V 8.165 -0.179 4.894
V 3.649 -2.211 6.787
V 8.423 -2.211 0.475
P -1.755 2.054 11.772
P -1.712 0.267 6.835
P -5.710 -0.267 14.097
P 6.942 0.290 1.839
P 5.130 0.290 5.423
P 5.833 2.054 10.014
P 2.242 -2.054 4.510
P 2.945 -0.290 9.101
P 1.133 -0.290 12.685
P 13.785 0.267 0.427
P 9.787 -0.267 7.689
P 9.830 -2.054 2.752
O -1.503 0.664 5.389
O 5.984 3.155 0.221
O 2.936 3.418 6.996
O -0.544 2.975 12.180
O -1.576 1.391 10.364
O 3.115 1.602 2.838
O -5.500 -0.664 12.651
O -0.412 0.571 7.690
O 9.136 3.418 0.267
O -1.796 1.019 12.943
O 6.088 3.155 7.041
O 4.622 2.975 9.606
O 4.199 1.474 5.786
O 3.585 -0.571 0.428
O 5.497 0.834 1.837
O 2.982 0.834 8.021
O 7.874 1.474 1.477
O 0.738 0.393 11.372
O 2.422 -1.391 3.102
O 1.096 0.834 13.766
O 2.201 -1.019 5.681
O -0.882 -1.602 10.100
O 4.735 -0.393 4.110
O 1.499 -0.834 9.099
O 6.576 0.834 5.425
O 3.340 0.393 10.414
O 8.957 1.602 4.424
O 5.874 1.019 8.844
O 6.979 -0.834 0.759
O 5.653 1.391 11.422
O 7.337 -0.393 3.152
O 0.201 -1.474 13.048
O 5.093 -0.834 6.503
O 2.578 -0.834 12.688
O 4.490 0.571 14.096
O 3.876 -1.474 8.739
O 3.453 -2.975 4.918
O 1.987 -3.155 7.483
O 9.871 -1.019 1.581
O -1.061 -3.418 14.258
O 8.487 -0.571 6.834
O 13.575 0.664 1.874
O 4.960 -1.602 11.686
O 9.651 -1.391 4.160
O 8.619 -2.975 2.344
O 5.139 -3.418 7.529
O 2.091 -3.155 14.304
O 9.578 -0.664 9.136
```

Output
E_form, meV per atom: -2634
Space group: C2/c, No. 15
Total magnetic moment, μB/cell: 16.00
Energy above the most stable polymorph in this dataset, eV/f.u.: 1.87



Computed, not measured: Na2NiPCO7 after structural relaxation at the PBE with a Hubbard U level of DFT.

Cell and atoms, written as extended XYZ:
```
48
Lattice="6.638 0.000 0.000 0.090 10.142 0.000 0.042 4.954 9.054" Properties=species:S:1:pos:R:3 pbc="T T T"
Na 0.000 0.000 0.000
Na 0.153 12.501 4.578
Na 0.235 7.359 4.680
Na 0.376 9.769 9.047
Na 1.919 7.474 1.697
Na 3.396 7.367 4.718
Na 3.588 12.491 4.593
Na 3.676 15.087 9.046
Ni 1.796 4.282 6.241
Ni 1.785 1.815 1.710
Ni 5.094 8.003 7.463
Ni 5.097 5.492 2.890
P 1.788 4.800 2.961
P 1.817 7.270 7.429
P 5.121 4.983 6.200
P 5.101 2.517 1.659
C 1.855 12.491 7.799
C 1.854 9.924 3.222
C 5.158 7.449 1.353
C 5.179 9.934 5.908
O 0.572 8.165 7.315
O 0.576 5.761 2.845
O 1.785 11.519 8.582
O 1.733 3.789 1.787
O 1.774 3.973 4.269
O 1.793 6.244 6.224
O 1.827 8.855 3.904
O 1.829 6.477 8.747
O 1.880 12.395 6.505
O 1.868 11.114 3.723
O 1.869 9.869 1.914
O 1.901 13.725 8.234
O 3.029 5.720 2.883
O 3.075 8.120 7.227
O 3.873 4.090 6.300
O 3.849 1.622 1.754
O 5.090 7.551 2.651
O 5.125 5.996 7.403
O 5.147 8.699 5.492
O 5.112 3.516 2.864
O 5.134 5.798 4.885
O 5.183 10.046 7.190
O 5.199 10.915 5.126
O 5.182 8.455 0.597
O 5.162 3.313 0.346
O 5.188 6.228 0.933
O 6.335 1.592 1.787
O 6.365 4.082 6.320
```

Output
E_form, meV per atom: -2066
Space group: P1, No. 1
Total magnetic moment, μB/cell: 6.00
Energy above the most stable polymorph in this dataset, eV/f.u.: 0.26



Computed, not measured: LiNiP4O12 after structural relaxation at the PBE with a Hubbard U level of DFT.

Cell and atoms, written as extended XYZ:
```
36
Lattice="7.262 0.000 0.000 0.000 8.766 0.000 -0.288 0.000 7.628" Properties=species:S:1:pos:R:3 pbc="T T T"
Li 1.537 0.000 1.138
Li 5.437 4.383 6.491
Ni 1.452 2.031 5.085
Ni 5.522 6.414 2.543
P 0.723 5.180 4.341
P 1.039 5.559 1.491
P 3.056 3.649 0.225
P 2.961 7.186 4.725
P 4.014 2.804 2.903
P 3.918 8.032 7.404
P 5.935 1.176 6.137
P 6.252 0.797 3.287
O 0.224 1.642 3.446
O 0.163 1.116 6.414
O 0.568 3.904 5.119
O 1.369 4.833 2.902
O 1.671 6.907 1.436
O 1.724 4.527 0.488
O 1.903 6.007 5.079
O 2.227 8.484 4.571
O 2.440 2.724 6.719
O 2.721 0.148 7.549
O 3.115 2.747 1.557
O 3.106 2.331 4.003
O 3.868 6.714 3.625
O 3.860 7.130 6.071
O 4.254 4.531 0.079
O 4.534 7.107 0.909
O 4.748 4.101 3.057
O 5.072 1.624 2.550
O 5.250 0.145 7.141
O 5.304 2.525 6.192
O 5.605 0.450 4.727
O 6.406 8.287 2.509
O 6.811 5.499 1.214
O 6.751 6.025 4.182
```

Output
E_form, meV per atom: -2333
Space group: P2_1, No. 4
Total magnetic moment, μB/cell: 6.00
Energy above the most stable polymorph in this dataset, eV/f.u.: 1.02



Computed, not measured: MnSiO3 after structural relaxation at the PBE with a Hubbard U level of DFT.

Cell and atoms, written as extended XYZ:
```
50
Lattice="6.802 0.000 0.000 -0.619 7.705 0.000 -0.513 -3.319 11.550" Properties=species:S:1:pos:R:3 pbc="T T T"
Mn 0.037 0.456 1.699
Mn 0.461 0.954 5.159
Mn 0.574 1.504 8.441
Mn 0.966 5.314 0.323
Mn 1.592 6.473 3.401
Mn 4.077 -2.086 8.149
Mn 4.703 -0.927 11.227
Mn 5.095 2.883 3.109
Mn 5.209 3.433 6.391
Mn 5.633 3.930 9.850
Si 0.643 -1.590 7.568
Si 1.026 -1.058 10.521
Si 1.545 3.345 3.074
Si 1.727 3.930 6.162
Si 3.159 1.311 1.434
Si 2.510 3.076 10.116
Si 3.943 0.456 5.387
Si 4.124 1.042 8.476
Si 4.644 5.444 1.029
Si 5.026 5.976 3.982
O 0.102 -0.712 3.695
O -0.213 -1.983 11.090
O 0.351 2.230 3.091
O 0.278 -0.096 7.069
O 0.541 0.482 10.449
O 0.668 2.732 6.532
O 1.253 4.714 2.253
O 0.891 3.252 10.039
O 1.056 5.416 6.492
O 1.516 -1.515 8.998
O 2.179 0.050 1.675
O 1.988 3.924 4.542
O 2.504 0.444 4.646
O 2.356 -1.323 11.483
O 2.905 2.564 2.516
O 2.765 1.823 9.033
O 3.314 5.709 0.067
O 3.166 3.942 6.903
O 3.682 0.462 7.008
O 3.491 4.336 9.874
O 4.154 5.901 2.552
O 4.614 -1.029 5.058
O 4.778 1.134 1.511
O 4.417 -0.328 9.296
O 5.001 1.655 5.018
O 5.128 3.905 1.101
O 5.392 4.482 4.481
O 5.319 2.156 8.458
O 5.883 6.369 0.459
O 5.568 5.098 7.855
```

Output
E_form, meV per atom: -2789
Space group: P-1, No. 2



Computed, not measured: Li2P5WO15 after structural relaxation at the PBE with a Hubbard U level of DFT.

Cell and atoms, written as extended XYZ:
```
46
Lattice="5.363 0.000 0.000 0.000 13.562 0.000 -1.911 0.000 8.777" Properties=species:S:1:pos:R:3 pbc="T T T"
Li 0.137 1.682 0.701
Li 0.137 5.099 0.701
Li 3.315 8.464 8.076
Li 3.315 11.880 8.076
P -0.950 1.929 4.535
P -0.950 4.852 4.535
P 0.235 1.044 7.188
P 0.235 5.737 7.188
P 0.571 10.172 8.659
P 2.881 3.391 0.118
P 3.217 7.825 1.589
P 3.217 12.518 1.589
P 4.402 8.710 4.242
P 4.402 11.634 4.242
W 1.726 0.000 4.388
W 1.726 6.781 4.388
O -0.527 3.391 4.058
O -0.078 0.996 3.728
O -0.078 5.785 3.728
O -0.544 1.953 6.080
O -0.544 4.828 6.080
O -0.764 0.500 8.148
O -0.764 6.281 8.148
O -0.641 10.172 7.776
O 0.528 8.572 4.362
O 0.528 11.771 4.362
O 1.471 3.391 0.633
O 2.251 8.918 0.908
O 2.251 11.425 0.908
O 1.151 0.089 6.461
O 1.151 6.692 6.461
O 2.301 6.870 2.316
O 2.301 13.473 2.316
O 1.201 2.137 7.868
O 1.201 4.644 7.868
O 1.981 10.172 8.144
O 2.924 1.791 4.415
O 2.924 4.990 4.415
O 4.093 3.391 1.001
O 4.216 7.281 0.629
O 4.216 13.062 0.629
O 3.996 8.735 2.697
O 3.996 11.609 2.697
O 3.530 7.777 5.049
O 3.530 12.566 5.049
O 3.979 10.172 4.719
```

Output
E_form, meV per atom: -2545
Space group: P2_1/m, No. 11
Total magnetic moment, μB/cell: 6.00
Energy above the most stable polymorph in this dataset, eV/f.u.: 0.00



Computed, not measured: MgCr3S6O24 after structural relaxation at the PBE with a Hubbard U level of DFT.

Cell and atoms, written as extended XYZ:
```
34
Lattice="4.290 2.477 6.942 -4.290 2.477 6.942 0.000 -4.954 6.942" Properties=species:S:1:pos:R:3 pbc="T T T"
Mg 0.000 0.000 0.000
Cr 0.000 0.000 3.009
Cr 0.000 0.000 7.514
Cr 0.000 0.000 17.774
S -1.766 -2.476 8.580
S -3.058 0.254 12.176
S -1.261 2.767 8.580
S 1.309 -2.776 12.176
S 3.027 -0.291 8.580
S 1.749 2.521 12.176
O -1.682 0.095 4.014
O -2.543 -2.452 9.856
O -0.932 -3.795 8.559
O -3.896 -1.052 12.281
O -1.698 0.013 6.450
O 0.758 -1.504 4.014
O -0.757 -1.383 8.734
O -2.821 2.705 8.559
O 0.838 -1.477 6.450
O -1.670 -0.063 12.050
O 0.924 1.409 4.014
O -0.819 1.347 8.734
O -0.854 -1.520 14.327
O 0.860 1.465 6.450
O 0.890 -1.415 12.050
O 1.576 0.036 8.734
O -0.852 3.428 9.856
O -0.889 1.500 14.327
O 2.859 -2.848 12.281
O 0.780 1.478 12.050
O 3.395 -0.977 9.856
O 1.743 0.020 14.327
O 3.753 1.090 8.559
O 1.037 3.900 12.281
```

Output
E_form, meV per atom: -1917
Space group: R3, No. 146
Total magnetic moment, μB/cell: 8.00
Energy above the most stable polymorph in this dataset, eV/f.u.: 3.82



Computed, not measured: PrCrO4 after structural relaxation at the PBE with a Hubbard U level of DFT.

Cell and atoms, written as extended XYZ:
```
12
Lattice="-3.741 3.741 3.241 3.741 -3.741 3.241 3.741 3.741 -3.241" Properties=species:S:1:pos:R:3 pbc="T T T"
Pr 3.741 1.870 0.810
Pr 0.000 1.870 2.431
Cr 3.741 -1.870 2.431
Cr 0.000 5.611 0.810
O 3.741 -0.527 1.345
O 3.741 3.213 -1.345
O 1.343 1.870 0.275
O 2.397 -1.870 3.516
O 1.343 5.611 -0.275
O 2.397 1.870 2.966
O 0.000 0.527 4.587
O 0.000 4.268 1.896
```

Output
E_form, meV per atom: -2729
Space group: I4_1/amd, No. 141



Computed, not measured: LiMn3O5 after structural relaxation at the PBE with a Hubbard U level of DFT.

Cell and atoms, written as extended XYZ:
```
36
Lattice="9.983 0.000 0.000 0.000 13.374 0.000 0.000 0.000 2.942" Properties=species:S:1:pos:R:3 pbc="T T T"
Li 2.256 1.817 0.000
Li 2.736 8.504 0.000
Li 7.247 4.870 0.000
Li 7.727 11.557 0.000
Mn 0.000 0.000 1.471
Mn 0.000 6.687 0.000
Mn 0.063 3.894 1.471
Mn 2.371 11.806 0.000
Mn 2.621 5.119 0.000
Mn 4.929 10.581 1.471
Mn 4.991 0.000 0.000
Mn 4.991 6.687 1.471
Mn 5.054 2.793 1.471
Mn 7.362 8.256 0.000
Mn 7.612 1.568 0.000
Mn 9.920 9.480 1.471
O 0.867 8.528 0.000
O 1.227 11.183 1.471
O 1.258 0.247 0.000
O 1.268 3.406 0.000
O 1.370 5.839 1.471
O 3.622 12.526 1.471
O 3.724 10.093 0.000
O 3.733 6.934 0.000
O 3.765 4.496 1.471
O 4.125 1.841 0.000
O 5.858 11.533 0.000
O 6.218 8.879 1.471
O 6.249 6.440 0.000
O 6.259 3.281 0.000
O 6.361 0.848 1.471
O 8.613 7.536 1.471
O 8.715 9.968 0.000
O 8.725 13.127 0.000
O 8.756 2.192 1.471
O 9.116 4.846 0.000
```

Output
E_form, meV per atom: -2031
Space group: Pbam, No. 55
Total magnetic moment, μB/cell: 48.00